DFT (PBE-GGA) results for a relaxed Ce4Zn3Sb8 crystal.

The calculation puts the corrected total energy (MP2020 scheme) at -71.45 eV per formula unit. The theoretical density is 7.2 Mg/m³. The calculation puts the energy of formation at -0.73 eV per atom.

Lattice parameters (Å, degrees): 4.462 4.462 19.965 90.00 90.00 90.00
Space group P-4m2 (No. 115)
Asymmetric unit:
Ce 0.000 0.500 0.125 x2
Ce 0.000 0.500 0.629 x2
Zn 0.000 0.000 0.000 x1
Zn 0.000 0.000 0.500 x1
Zn 0.500 0.500 0.500 x1
Sb 0.000 0.000 0.248 x2
Sb 0.000 0.500 0.411 x2
Sb 0.000 0.500 0.920 x2
Sb 0.500 0.500 0.249 x2



DFT (PBE-GGA) results for a relaxed Ce2ZnSb4 crystal.

The calculation puts the corrected total energy (MP2020 scheme) at -35.32 eV per formula unit. The theoretical density is 7.3 Mg/m³. The calculation puts the energy of formation at -0.81 eV per atom.

Lattice parameters (Å, degrees): 4.434 4.434 9.685 90.00 90.00 90.00
Space group P-4m2 (No. 115)
Asymmetric unit:
Ce 0.000 0.500 0.247 x2
Zn 0.000 0.000 0.000 x1
Sb 0.000 0.000 0.500 x1
Sb 0.000 0.500 0.838 x2
Sb 0.500 0.500 0.500 x1



DFT (PBE-GGA) results for a relaxed Ce2Sc3Si4 crystal.

The calculation puts the corrected total energy (MP2020 scheme) at -59.23 eV per formula unit. The theoretical density is 4.6 Mg/m³. The calculation puts the energy of formation at -0.74 eV per atom.

Lattice parameters (Å, degrees): 7.180 14.136 7.451 90.00 90.00 90.00
Space group Pnma (No. 62)
Asymmetric unit:
Ce 0.011 0.097 0.172 x8
Sc 0.162 0.750 0.505 x4
Sc 0.171 0.124 0.676 x8
Si 0.034 0.750 0.120 x4
Si 0.155 0.539 0.465 x8
Si 0.213 0.250 0.377 x4



DFT (PBE-GGA) results for a relaxed CeScSi crystal.

The calculation puts the corrected total energy (MP2020 scheme) at -19.24 eV per formula unit. The theoretical density is 5.0 Mg/m³. The calculation puts the energy of formation at -0.52 eV per atom.

Lattice parameters (Å, degrees): 4.240 4.240 15.879 90.00 90.00 90.00
Space group I4/mmm (No. 139)
Asymmetric unit:
Ce 0.000 0.000 0.179 x4
Sc 0.000 0.500 0.000 x4
Si 0.000 0.000 0.377 x4



DFT (PBE-GGA) results for a relaxed Ce10Se19 crystal.

The calculation puts the corrected total energy (MP2020 scheme) at -182.08 eV per formula unit. The theoretical density is 6.6 Mg/m³. The calculation puts the energy of formation at -1.94 eV per atom.

Lattice parameters (Å, degrees): 9.394 9.394 16.668 90.00 90.00 90.00
Space group P4_2/n (No. 86, origin choice 2)
Asymmetric unit:
Ce 0.043 0.349 0.120 x8
Ce 0.052 0.353 0.608 x8
Ce 0.250 0.750 0.119 x4
Se 0.026 0.829 0.250 x8
Se 0.049 0.348 0.427 x8
Se 0.054 0.350 0.935 x8
Se 0.059 0.869 0.750 x8
Se 0.250 0.250 0.250 x2
Se 0.250 0.750 0.434 x4



DFT (PBE-GGA) results for a relaxed Ce2SnSe4 crystal.

The calculation puts the corrected total energy (MP2020 scheme) at -41.19 eV per formula unit. The theoretical density is 5.9 Mg/m³. The calculation puts the energy of formation at -1.62 eV per atom.

Lattice parameters (Å, degrees): 12.274 4.300 15.317 90.00 90.00 90.00
Space group Pnma (No. 62)
Asymmetric unit:
Ce 0.062 0.250 0.103 x4
Ce 0.104 0.250 0.596 x4
Sn 0.236 0.250 0.838 x4
Se 0.018 0.250 0.788 x4
Se 0.057 0.250 0.410 x4
Se 0.158 0.750 0.988 x4
Se 0.234 0.750 0.696 x4



DFT (PBE-GGA) results for a relaxed Ce2USe5 crystal.

The calculation puts the corrected total energy (MP2020 scheme) at -55.87 eV per formula unit. The theoretical density is 7.3 Mg/m³. The calculation puts the energy of formation at -1.90 eV per atom.

Lattice parameters (Å, degrees): 12.433 8.470 7.843 90.00 90.00 90.00
Space group Pnma (No. 62)
Asymmetric unit:
Ce 0.178 0.000 0.029 x8
U 0.008 0.250 0.572 x4
Se 0.001 0.250 0.957 x4
Se 0.095 0.543 0.669 x8
Se 0.188 0.250 0.333 x4
Se 0.216 0.750 0.307 x4



DFT (PBE-GGA) results for a relaxed Ce2Si7 crystal.

The calculation puts the corrected total energy (MP2020 scheme) at -52.65 eV per formula unit. The theoretical density is 5.1 Mg/m³. The calculation puts the energy of formation at -0.31 eV per atom.

Lattice parameters (Å, degrees): 7.055 9.981 4.443 90.00 90.00 90.00
Space group Cmmm (No. 65)
Asymmetric unit:
Ce 0.000 0.204 0.000 x4
Si 0.000 0.000 0.500 x2
Si 0.179 0.500 0.000 x4
Si 0.189 0.368 0.500 x8



DFT (PBE-GGA) results for a relaxed Ce3Si2Sn3 crystal.

The theoretical density is 6.6 Mg/m³. The calculation puts the energy of formation at -0.40 eV per atom.

Lattice parameters (Å, degrees): 4.5176 4.5176 23.7965 90.00 90.00 120.00
Space group P6_3/mmc (No. 194)
Asymmetric unit:
Ce 0.3333 0.6667 0.0761 x4
Ce 0.3333 0.6667 0.2500 x2
Si 0.0000 0.0000 0.1677 x4
Sn 0.0000 0.0000 0.0000 x2
Sn 0.3333 0.6667 0.6590 x4



DFT (PBE-GGA) results for a relaxed CeSiSn2 crystal.

The theoretical density is 6.3 Mg/m³. The calculation puts the energy of formation at -0.21 eV per atom.

Lattice parameters (Å, degrees): 4.165 23.639 4.331 90.00 90.00 90.00
Space group Cmcm (No. 63)
Asymmetric unit:
Ce 0.000 0.135 0.250 x4
Si 0.000 0.351 0.250 x4
Sn 0.000 0.251 0.750 x4
Sn 0.000 0.459 0.250 x4



DFT (PBE-GGA) results for a relaxed CeThSi4 crystal.

The calculation puts the corrected total energy (MP2020 scheme) at -38.59 eV per formula unit. The theoretical density is 6.7 Mg/m³. The calculation puts the energy of formation at -0.59 eV per atom.

Lattice parameters (Å, degrees): 4.121 4.121 14.195 90.00 90.00 90.00
Space group I-4m2 (No. 119)
Asymmetric unit:
Ce 0.000 0.000 0.000 x2
Th 0.000 0.500 0.250 x2
Si 0.000 0.000 0.417 x4
Si 0.000 0.500 0.666 x4



DFT (PBE-GGA) results for a relaxed Ce3Th3Si4 crystal.

The calculation puts the corrected total energy (MP2020 scheme) at -67.60 eV per formula unit. The theoretical density is 8.2 Mg/m³. The calculation puts the energy of formation at -0.59 eV per atom.

Lattice parameters (Å, degrees): 4.156 10.964 10.939 90.00 90.00 90.00
Space group Amm2 (No. 38)
Asymmetric unit:
Ce 0.000 0.000 0.000 x2
Ce 0.500 0.248 0.068 x4
Th 0.000 0.000 0.639 x2
Th 0.000 0.180 0.319 x4
Si 0.500 0.000 0.204 x2
Si 0.500 0.000 0.432 x2
Si 0.500 0.113 0.820 x4



DFT (PBE-GGA) results for a relaxed CeUSi4 crystal.

The calculation puts the corrected total energy (MP2020 scheme) at -41.54 eV per formula unit. The theoretical density is 7.2 Mg/m³. The calculation puts the energy of formation at -0.44 eV per atom.

Lattice parameters (Å, degrees): 3.993 3.993 14.191 90.00 90.00 90.00
Space group I-4m2 (No. 119)
Asymmetric unit:
Ce 0.000 0.000 0.000 x2
U 0.000 0.500 0.250 x2
Si 0.000 0.000 0.415 x4
Si 0.000 0.500 0.669 x4



DFT (PBE-GGA) results for a relaxed CeY4Si4 crystal.

The calculation puts the corrected total energy (MP2020 scheme) at -59.88 eV per formula unit. The theoretical density is 4.9 Mg/m³. The calculation puts the energy of formation at -0.71 eV per atom.

Lattice parameters (Å, degrees): 7.386 7.648 14.579 90.00 90.00 90.00
Space group P2_12_12_1 (No. 19)
Asymmetric unit:
Ce 0.221 0.181 0.348 x4
Y 0.064 0.678 0.628 x4
Y 0.066 0.679 0.372 x4
Y 0.104 0.513 0.000 x4
Y 0.221 0.182 0.650 x4
Si 0.013 0.375 0.499 x4
Si 0.104 0.471 0.790 x4
Si 0.107 0.474 0.209 x4
Si 0.231 0.107 0.000 x4



DFT (PBE-GGA) results for a relaxed Ce3Sm crystal.

The theoretical density is 8.3 Mg/m³. The calculation puts the energy of formation at 0.10 eV per atom.

Lattice parameters (Å, degrees): 4.830 4.830 9.829 90.00 90.00 90.00
Space group I4/mmm (No. 139)
Asymmetric unit:
Ce 0.000 0.000 0.000 x2
Ce 0.000 0.500 0.250 x4
Sm 0.000 0.000 0.500 x2



DFT (PBE-GGA) results for a relaxed CeSm crystal.

The theoretical density is 7.7 Mg/m³. The calculation puts the energy of formation at 0.11 eV per atom.

Lattice parameters (Å, degrees): 3.5126 3.5126 11.7257 90.00 90.00 120.00
Space group P6_3/mmc (No. 194)
Asymmetric unit:
Ce 0.3333 0.6667 0.2500 x2
Sm 0.0000 0.0000 0.0000 x2



DFT (PBE-GGA) results for a relaxed CeSmZn2 crystal.

The theoretical density is 7.0 Mg/m³. The calculation puts the energy of formation at -0.25 eV per atom.

Lattice parameters (Å, degrees): 7.371 7.371 7.371 90.00 90.00 90.00
Space group Fm-3m (No. 225)
Asymmetric unit:
Ce 0.000 0.000 0.000 x4
Sm 0.000 0.000 0.500 x4
Zn 0.250 0.250 0.250 x8